! Er2AgIr, optimized geometry, DFT GGA-PBE; values from VASP
&SYSTEM
  ibrav = 0, nat = 4, ntyp = 3
/
ATOMIC_SPECIES
Er 167.26 Er.upf
Ir 192.22 Ir.upf
Ag 107.87 Ag.upf
CELL_PARAMETERS angstrom
0.000 3.487 3.487
3.487 0.000 3.487
3.487 3.487 0.000
ATOMIC_POSITIONS angstrom
Er 1.744 1.744 1.744
Ir 0.000 0.000 0.000
Er 5.231 5.231 5.231
Ag 3.487 3.487 3.487
! **Total magnetic moment**: 0.00 μB/f.u.
! **Raw total energy**: -5.85 eV/atom
! **Calculated volume**: 85 Å³ per cell
! **Formation energy from the elements**: -0.651 eV/atom

! Er2AgOs, optimized geometry, DFT GGA-PBE; values from VASP
&SYSTEM
  ibrav = 0, nat = 4, ntyp = 3
/
ATOMIC_SPECIES
Er 167.26 Er.upf
Ag 107.87 Ag.upf
Os 190.23 Os.upf
CELL_PARAMETERS angstrom
-4.144 1.918 1.796
-2.316 3.567 -2.448
-4.286 -0.920 -2.204
ATOMIC_POSITIONS angstrom
Er -8.060 3.423 -2.142
Ag -5.373 2.282 -1.428
Er -2.687 1.141 -0.714
Os 0.000 0.000 0.000
! **Raw total energy**: -6.12 eV/atom
! **Calculated volume**: 84 Å³ per cell
! **Formation energy from the elements**: -0.322 eV/atom

! ErAgP2Se6, optimized geometry, DFT GGA-PBE; values from VASP
&SYSTEM
  ibrav = 0, nat = 20, ntyp = 4
/
ATOMIC_SPECIES
Se 78.96 Se.upf
P 30.97 P.upf
Ag 107.87 Ag.upf
Er 167.26 Er.upf
CELL_PARAMETERS angstrom
-2.635 4.263 4.376
-0.674 -6.555 0.921
12.957 -0.208 8.004
ATOMIC_POSITIONS angstrom
Se 9.450 2.567 9.940
P 6.769 0.517 8.630
Se -0.482 -1.676 4.550
Se 7.263 1.189 6.580
Se 2.385 -3.689 6.722
Se 0.198 -5.066 3.362
Se 5.953 -1.541 8.629
Ag 1.258 0.605 5.226
Se 1.415 -2.186 1.467
Ag 8.390 -3.105 8.076
Er 9.718 -0.156 6.003
P 8.704 0.486 9.826
Er 3.239 -0.052 2.001
Se 4.258 -4.429 3.671
Se 5.390 1.929 9.631
Se 8.233 -0.313 11.835
Se 3.695 -0.959 4.674
Se 10.130 -0.823 8.752
P 0.944 -2.985 3.476
P 2.879 -3.016 4.672
! **Total magnetic moment**: 0.00 μB/f.u.
! **Raw total energy**: -4.47 eV/atom
! **Calculated volume**: 584 Å³ per cell
! **Formation energy from the elements**: -0.835 eV/atom

! Er3Ag2Pb4, optimized geometry, DFT GGA-PBE; values from VASP
&SYSTEM
  ibrav = 0, nat = 18, ntyp = 3
/
ATOMIC_SPECIES
Ag 107.87 Ag.upf
Er 167.26 Er.upf
Pb 207.20 Pb.upf
CELL_PARAMETERS angstrom
4.797 1.324 0.461
2.581 1.268 -4.018
-6.156 21.817 2.931
ATOMIC_POSITIONS angstrom
Ag -0.677 11.963 0.302
Er 1.238 13.913 2.149
Er 3.344 6.443 1.143
Er -2.046 17.679 -1.810
Pb 0.588 7.488 -0.297
Pb -3.564 22.192 1.676
Ag 1.423 4.516 -0.698
Pb 2.743 9.446 -1.333
Er -0.816 21.198 3.128
Er -0.007 10.461 -2.778
Pb 0.716 16.639 -0.365
Pb 4.754 2.322 -2.289
Ag 3.916 5.305 -1.886
Pb 1.828 12.704 -0.892
Ag -2.737 19.263 1.283
Pb -1.514 14.913 0.696
Er 2.003 3.355 -3.730
Pb -0.195 19.883 0.074
! **Total magnetic moment**: 0.00 μB/f.u.
! **Raw total energy**: -3.95 eV/atom
! **Calculated volume**: 491 Å³ per cell
! **Formation energy from the elements**: -0.147 eV/atom

! Er2AgPt, optimized geometry, DFT GGA-PBE; values from VASP
&SYSTEM
  ibrav = 0, nat = 4, ntyp = 3
/
ATOMIC_SPECIES
Ag 107.87 Ag.upf
Er 167.26 Er.upf
Pt 195.08 Pt.upf
CELL_PARAMETERS angstrom
-2.139 -3.488 -2.834
-4.793 0.423 -1.274
-1.242 1.036 -4.708
ATOMIC_POSITIONS angstrom
Ag -4.087 -1.015 -4.408
Er -6.131 -1.522 -6.612
Pt 0.000 0.000 0.000
Er -2.044 -0.507 -2.204
! **Raw total energy**: -5.32 eV/atom
! **Calculated volume**: 87 Å³ per cell
! **Formation energy from the elements**: -0.814 eV/atom

! ErAgSn, optimized geometry, DFT GGA-PBE; values from VASP
&SYSTEM
  ibrav = 0, nat = 6, ntyp = 3
/
ATOMIC_SPECIES
Ag 107.87 Ag.upf
Er 167.26 Er.upf
Sn 118.71 Sn.upf
CELL_PARAMETERS angstrom
2.414 -4.180 0.000
2.414 4.180 0.000
0.000 0.000 7.391
ATOMIC_POSITIONS angstrom
Ag 2.414 -1.393 3.903
Er 0.000 0.000 5.368
Sn 2.414 -1.393 6.939
Sn 2.414 1.393 0.452
Er 0.000 0.000 2.023
Ag 2.414 1.393 3.488
! **Total magnetic moment**: 0.00 μB/f.u.
! **Raw total energy**: -4.08 eV/atom
! **Calculated volume**: 149 Å³ per cell
! **Formation energy from the elements**: -0.274 eV/atom

! ErAgSn, optimized geometry, DFT GGA-PBE; values from VASP
&SYSTEM
  ibrav = 0, nat = 9, ntyp = 3
/
ATOMIC_SPECIES
Ag 107.87 Ag.upf
Sn 118.71 Sn.upf
Er 167.26 Er.upf
CELL_PARAMETERS angstrom
-7.061 -1.971 -0.866
4.214 -3.458 4.977
-1.217 2.994 3.111
ATOMIC_POSITIONS angstrom
Ag -2.350 1.011 1.342
Sn -3.911 -0.970 2.637
Sn -0.153 -1.466 4.585
Ag 0.430 0.644 2.783
Ag -2.754 -2.594 4.653
Er -1.225 -2.336 1.769
Er -4.023 -1.123 -0.493
Er 2.401 -1.971 2.836
Sn 0.000 0.000 0.000
! **Raw total energy**: -4.36 eV/atom
! **Calculated volume**: 212 Å³ per cell
! **Formation energy from the elements**: -0.557 eV/atom

! ErAgSn, optimized geometry, DFT GGA-PBE; values from VASP
&SYSTEM
  ibrav = 0, nat = 6, ntyp = 3
/
ATOMIC_SPECIES
Sn 118.71 Sn.upf
Er 167.26 Er.upf
Ag 107.87 Ag.upf
CELL_PARAMETERS angstrom
-2.363 -4.093 0.000
-2.363 4.093 0.000
0.000 0.000 -7.357
ATOMIC_POSITIONS angstrom
Sn -2.363 -1.364 -0.250
Sn -2.363 1.364 -3.929
Er 0.000 0.000 -5.533
Ag -2.363 -1.364 -3.244
Ag -2.363 1.364 -6.922
Er 0.000 0.000 -1.855
! **Raw total energy**: -4.37 eV/atom
! **Calculated volume**: 142 Å³ per cell
! **Formation energy from the elements**: -0.569 eV/atom

! ErAgTe2, optimized geometry, DFT GGA-PBE; values from VASP
&SYSTEM
  ibrav = 0, nat = 8, ntyp = 3
/
ATOMIC_SPECIES
Er 167.26 Er.upf
Ag 107.87 Ag.upf
Te 127.60 Te.upf
CELL_PARAMETERS angstrom
7.085 0.000 0.000
0.000 7.085 0.000
0.000 0.000 4.705
ATOMIC_POSITIONS angstrom
Er 3.542 0.000 0.904
Ag 0.000 0.000 0.000
Te 1.428 2.115 1.369
Te 4.970 1.428 3.336
Ag 3.542 3.542 0.000
Te 5.657 4.970 1.369
Er 0.000 3.542 3.801
Te 2.115 5.657 3.336
! **Raw total energy**: -4.32 eV/atom
! **Maximum piezoelectric response**: 0.662 C/m2
! **Calculated volume**: 236 Å³ per cell
! **Formation energy from the elements**: -1.111 eV/atom

! ErAgTe2, optimized geometry, DFT GGA-PBE; values from VASP
&SYSTEM
  ibrav = 0, nat = 4, ntyp = 3
/
ATOMIC_SPECIES
Er 167.26 Er.upf
Te 127.60 Te.upf
Ag 107.87 Ag.upf
CELL_PARAMETERS angstrom
-2.839 3.459 -0.363
1.550 -2.029 -3.693
-5.643 -4.615 0.167
ATOMIC_POSITIONS angstrom
Er -6.943 -2.923 -1.308
Te -1.215 -1.264 -2.544
Ag -2.173 -1.777 0.064
Te -4.333 -3.543 0.128
! **Total magnetic moment**: 0.00 μB/f.u.
! **Raw total energy**: -4.30 eV/atom
! **Calculated volume**: 127 Å³ per cell
! **Formation energy from the elements**: -1.088 eV/atom

! Er7Ag2Te2, optimized geometry, DFT GGA-PBE; values from VASP
&SYSTEM
  ibrav = 0, nat = 11, ntyp = 3
/
ATOMIC_SPECIES
Ag 107.87 Ag.upf
Te 127.60 Te.upf
Er 167.26 Er.upf
CELL_PARAMETERS angstrom
5.625 6.482 3.685
-4.663 5.869 5.572
3.783 -8.207 -2.361
ATOMIC_POSITIONS angstrom
Ag 3.369 -4.828 -0.015
Te 7.202 -1.320 1.013
Er 0.518 6.168 4.634
Te 1.104 -1.452 1.823
Er 4.260 3.926 4.027
Er -2.363 3.700 4.623
Er 6.070 1.176 2.521
Er -1.126 0.513 2.642
Er 2.568 1.276 1.634
Er 1.055 2.531 4.709
Ag 3.823 1.010 4.361
! **Raw total energy**: -4.56 eV/atom
! **Calculated volume**: 304 Å³ per cell
! **Formation energy from the elements**: -0.646 eV/atom

! ErTmAg2, optimized geometry, DFT GGA-PBE; values from VASP
&SYSTEM
  ibrav = 0, nat = 4, ntyp = 3
/
ATOMIC_SPECIES
Tm 168.93 Tm.upf
Ag 107.87 Ag.upf
Er 167.26 Er.upf
CELL_PARAMETERS angstrom
0.000 3.603 3.603
3.603 0.000 3.603
3.603 3.603 0.000
ATOMIC_POSITIONS angstrom
Tm 0.000 0.000 0.000
Ag 1.801 1.801 1.801
Ag 5.404 5.404 5.404
Er 3.603 3.603 3.603
! **Raw total energy**: -4.02 eV/atom
! **Calculated volume**: 94 Å³ per cell
! **Formation energy from the elements**: -0.343 eV/atom

Q: Among the records above, which one has the highest raw total energy?
A: Er3Ag2Pb4

Q: Which value of calculated volume does entry 1 give?
A: 85 Å³ per cell